A relaxed structure of SrMg14Ti. Source: the Materials Project, functional PBE.

Structure (CIF):
```
data_SrMg14Ti
_chemical_formula_sum 'Sr2 Mg28 Ti2'
_cell_length_a 10.4001
_cell_length_b 6.5379
_cell_length_c 11.3717
_cell_angle_alpha 90.00
_cell_angle_beta 90.00
_cell_angle_gamma 90.00
_symmetry_space_group_name_H-M 'A m m 2'
_symmetry_Int_Tables_number 38
_symmetry_space_group_name_Hall 'A 2 -2'
loop_
_atom_site_label
_atom_site_type_symbol
_atom_site_fract_x
_atom_site_fract_y
_atom_site_fract_z
_atom_site_occupancy
Sr1 Sr 0.0000 0.0000 0.0000 1
Mg1 Mg 0.0000 0.2463 0.2509 1
Mg2 Mg 0.2414 0.0000 0.6598 1
Mg3 Mg 0.2561 0.2395 0.4125 1
Mg4 Mg 0.2616 0.0000 0.1689 1
Mg5 Mg 0.5000 0.0000 0.4984 1
Mg6 Mg 0.5000 0.0000 0.9966 1
Mg7 Mg 0.5000 0.2468 0.7471 1
Ti1 Ti 0.0000 0.0000 0.4881 1
```

Results
Crystal system   orthorhombic

***

A relaxed structure of Cd2PtRh. Source: the Materials Project, functional PBE.

Structure (CIF):
```
data_Cd2PtRh
_chemical_formula_sum 'Cd8 Pt4 Rh4'
_cell_length_a 6.5190
_cell_length_b 6.5190
_cell_length_c 6.5190
_cell_angle_alpha 90.00
_cell_angle_beta 90.00
_cell_angle_gamma 90.00
_symmetry_space_group_name_H-M 'F m -3 m'
_symmetry_Int_Tables_number 225
_symmetry_space_group_name_Hall '-F 4 2 3'
loop_
_atom_site_label
_atom_site_type_symbol
_atom_site_fract_x
_atom_site_fract_y
_atom_site_fract_z
_atom_site_occupancy
Cd1 Cd 0.2500 0.2500 0.2500 1
Pt1 Pt 0.0000 0.0000 0.0000 1
Rh1 Rh 0.0000 0.0000 0.5000 1
```

Results
Crystal system   cubic

***

A relaxed structure of Mn2SiRu. Source: the Materials Project, functional PBE.

Structure (CIF):
```
data_Mn2SiRu
_chemical_formula_sum 'Mn8 Si4 Ru4'
_cell_length_a 5.7951
_cell_length_b 5.7951
_cell_length_c 5.7951
_cell_angle_alpha 90.00
_cell_angle_beta 90.00
_cell_angle_gamma 90.00
_symmetry_space_group_name_H-M 'F -4 3 m'
_symmetry_Int_Tables_number 216
_symmetry_space_group_name_Hall 'F -4 2 3'
loop_
_atom_site_label
_atom_site_type_symbol
_atom_site_fract_x
_atom_site_fract_y
_atom_site_fract_z
_atom_site_occupancy
Mn1 Mn 0.0000 0.0000 0.0000 1
Mn2 Mn 0.2500 0.2500 0.2500 1
Si1 Si 0.2500 0.2500 0.7500 1
Ru1 Ru 0.0000 0.0000 0.5000 1
```

Results
Crystal system   cubic

***

A relaxed structure of TbCoC. Source: the Materials Project, functional PBE.

Structure (CIF):
```
data_TbCoC
_chemical_formula_sum 'Tb1 Co1 C1'
_cell_length_a 3.5536
_cell_length_b 3.5780
_cell_length_c 3.6054
_cell_angle_alpha 90.00
_cell_angle_beta 90.00
_cell_angle_gamma 90.00
_symmetry_space_group_name_H-M 'P m m m'
_symmetry_Int_Tables_number 47
_symmetry_space_group_name_Hall '-P 2 2'
loop_
_atom_site_label
_atom_site_type_symbol
_atom_site_fract_x
_atom_site_fract_y
_atom_site_fract_z
_atom_site_occupancy
Tb1 Tb 0.0000 0.0000 0.0000 1
Co1 Co 0.5000 0.5000 0.5000 1
C1 C 0.5000 0.5000 0.0000 1
```

Results
Crystal system   orthorhombic

***

Number 1: energy -1.90 eV per atom, formation enthalpy at 0 K 0.10 eV per atom. Number 2: energy -4.01 eV per atom, formation enthalpy at 0 K -0.19 eV per atom. Number 3: energy -8.65 eV per atom, formation enthalpy at 0 K -0.39 eV per atom. Number 4: energy -7.23 eV per atom, formation enthalpy at 0 K -0.24 eV per atom.